No. 1
The following is a DFT calculation (PBE-GGA) of crystalline In5Br7 at its relaxed geometry.

Summary:
calculated formation energy	-1.044	eV/atom
calculated volume	6897.6	Å³/cell
size of the total moment	0.00	μB per atom

Unit cell a=13.432 b=13.432 c=38.233 alpha=90.00 beta=90.00 gamma=90.00
Atoms (fractional coordinates):
In (0.005, 0.039, 0.081)
In (0.005, 0.290, 0.668)
In (0.006, 0.740, 0.998)
In (0.009, 0.991, 0.750)
In (0.030, 0.579, 0.556)
In (0.033, 0.327, 0.191)
In (0.039, 0.005, 0.919)
In (0.045, 0.263, 0.825)
In (0.079, 0.470, 0.306)
In (0.082, 0.718, 0.443)
In (0.168, 0.284, 0.307)
In (0.173, 0.533, 0.441)
In (0.201, 0.765, 0.825)
In (0.210, 0.505, 0.918)
In (0.216, 0.668, 0.557)
In (0.218, 0.418, 0.193)
In (0.235, 0.799, 0.675)
In (0.237, 0.545, 0.075)
In (0.240, 0.494, 0.748)
In (0.244, 0.244, 0.000)
In (0.256, 0.744, 0.250)
In (0.260, 0.994, 0.502)
In (0.263, 0.045, 0.175)
In (0.265, 0.299, 0.575)
In (0.282, 0.918, 0.057)
In (0.284, 0.168, 0.693)
In (0.290, 0.005, 0.332)
In (0.299, 0.265, 0.425)
In (0.327, 0.033, 0.809)
In (0.332, 0.784, 0.943)
In (0.418, 0.218, 0.807)
In (0.421, 0.970, 0.944)
In (0.455, 0.763, 0.425)
In (0.461, 0.505, 0.331)
In (0.467, 0.827, 0.059)
In (0.470, 0.079, 0.694)
In (0.491, 0.491, 0.500)
In (0.494, 0.240, 0.252)
In (0.495, 0.539, 0.169)
In (0.495, 0.790, 0.582)
In (0.505, 0.210, 0.082)
In (0.505, 0.461, 0.669)
In (0.506, 0.760, 0.752)
In (0.509, 0.509, 0.000)
In (0.530, 0.921, 0.194)
In (0.533, 0.173, 0.559)
In (0.539, 0.495, 0.831)
In (0.545, 0.237, 0.925)
In (0.579, 0.030, 0.444)
In (0.582, 0.782, 0.307)
In (0.668, 0.216, 0.443)
In (0.673, 0.967, 0.309)
In (0.701, 0.735, 0.925)
In (0.710, 0.995, 0.832)
In (0.716, 0.832, 0.193)
In (0.718, 0.082, 0.557)
In (0.735, 0.701, 0.075)
In (0.737, 0.955, 0.675)
In (0.740, 0.006, 0.002)
In (0.744, 0.256, 0.750)
In (0.756, 0.756, 0.500)
In (0.760, 0.506, 0.248)
In (0.763, 0.455, 0.575)
In (0.765, 0.201, 0.175)
In (0.782, 0.582, 0.693)
In (0.784, 0.332, 0.057)
In (0.790, 0.495, 0.418)
In (0.799, 0.235, 0.325)
In (0.827, 0.467, 0.941)
In (0.832, 0.716, 0.807)
In (0.918, 0.282, 0.943)
In (0.921, 0.530, 0.806)
In (0.955, 0.737, 0.325)
In (0.961, 0.995, 0.419)
In (0.967, 0.673, 0.691)
In (0.970, 0.421, 0.056)
In (0.991, 0.009, 0.250)
In (0.994, 0.260, 0.498)
In (0.995, 0.710, 0.168)
In (0.995, 0.961, 0.581)
Br (0.024, 0.396, 0.581)
Br (0.028, 0.144, 0.167)
Br (0.044, 0.826, 0.499)
Br (0.046, 0.574, 0.249)
Br (0.073, 0.707, 0.748)
Br (0.074, 0.454, 0.999)
Br (0.076, 0.147, 0.344)
Br (0.087, 0.389, 0.407)
Br (0.095, 0.275, 0.913)
Br (0.104, 0.524, 0.831)
Br (0.111, 0.587, 0.657)
Br (0.112, 0.334, 0.091)
Br (0.122, 0.873, 0.200)
Br (0.123, 0.128, 0.550)
Br (0.127, 0.878, 0.300)
Br (0.128, 0.123, 0.450)
Br (0.144, 0.028, 0.833)
Br (0.145, 0.827, 0.094)
Br (0.147, 0.076, 0.656)
Br (0.155, 0.777, 0.913)
Br (0.166, 0.612, 0.341)
Br (0.173, 0.855, 0.406)
Br (0.174, 0.208, 0.748)
Br (0.174, 0.956, 0.001)
Br (0.207, 0.427, 0.498)
Br (0.208, 0.174, 0.252)
Br (0.223, 0.845, 0.587)
Br (0.225, 0.595, 0.163)
Br (0.275, 0.095, 0.087)
Br (0.277, 0.345, 0.663)
Br (0.292, 0.674, 0.998)
Br (0.293, 0.927, 0.752)
Br (0.326, 0.456, 0.249)
Br (0.326, 0.708, 0.502)
Br (0.327, 0.355, 0.844)
Br (0.334, 0.112, 0.909)
Br (0.345, 0.277, 0.337)
Br (0.353, 0.576, 0.594)
Br (0.355, 0.327, 0.156)
Br (0.356, 0.528, 0.417)
Br (0.372, 0.623, 0.800)
Br (0.373, 0.378, 0.950)
Br (0.377, 0.628, 0.700)
Br (0.378, 0.373, 0.050)
Br (0.388, 0.834, 0.159)
Br (0.389, 0.087, 0.593)
Br (0.396, 0.024, 0.419)
Br (0.405, 0.775, 0.337)
Br (0.413, 0.889, 0.843)
Br (0.424, 0.647, 0.906)
Br (0.426, 0.954, 0.251)
Br (0.427, 0.207, 0.502)
Br (0.454, 0.074, 0.001)
Br (0.456, 0.326, 0.751)
Br (0.472, 0.644, 0.083)
Br (0.476, 0.896, 0.669)
Br (0.524, 0.104, 0.169)
Br (0.528, 0.356, 0.583)
Br (0.544, 0.674, 0.251)
Br (0.546, 0.926, 0.501)
Br (0.573, 0.793, 0.002)
Br (0.574, 0.046, 0.751)
Br (0.576, 0.353, 0.406)
Br (0.587, 0.111, 0.343)
Br (0.595, 0.225, 0.837)
Br (0.604, 0.976, 0.919)
Br (0.611, 0.913, 0.093)
Br (0.612, 0.166, 0.659)
Br (0.622, 0.627, 0.550)
Br (0.623, 0.372, 0.200)
Br (0.627, 0.622, 0.450)
Br (0.628, 0.377, 0.300)
Br (0.644, 0.472, 0.917)
Br (0.645, 0.673, 0.656)
Br (0.647, 0.424, 0.094)
Br (0.655, 0.723, 0.837)
Br (0.666, 0.888, 0.409)
Br (0.673, 0.645, 0.344)
Br (0.674, 0.292, 0.002)
Br (0.674, 0.544, 0.749)
Br (0.707, 0.073, 0.252)
Br (0.708, 0.326, 0.498)
Br (0.723, 0.655, 0.163)
Br (0.725, 0.905, 0.587)
Br (0.775, 0.405, 0.663)
Br (0.777, 0.155, 0.087)
Br (0.792, 0.826, 0.752)
Br (0.793, 0.573, 0.998)
Br (0.826, 0.044, 0.501)
Br (0.826, 0.792, 0.248)
Br (0.827, 0.145, 0.906)
Br (0.834, 0.388, 0.841)
Br (0.845, 0.223, 0.413)
Br (0.853, 0.924, 0.156)
Br (0.855, 0.173, 0.594)
Br (0.856, 0.972, 0.333)
Br (0.872, 0.877, 0.950)
Br (0.873, 0.122, 0.800)
Br (0.877, 0.872, 0.050)
Br (0.878, 0.127, 0.700)
Br (0.888, 0.666, 0.591)
Br (0.889, 0.413, 0.157)
Br (0.896, 0.476, 0.331)
Br (0.905, 0.725, 0.413)
Br (0.913, 0.611, 0.907)
Br (0.924, 0.853, 0.844)
Br (0.926, 0.546, 0.499)
Br (0.927, 0.293, 0.248)
Br (0.954, 0.426, 0.749)
Br (0.956, 0.174, 0.999)
Br (0.972, 0.856, 0.667)
Br (0.976, 0.604, 0.081)

=====

No. 2
The following is a DFT calculation (PBE-GGA) of crystalline Ba3Sm at its relaxed geometry.

Summary:
ΔE to the lowest computed polymorph	15	meV per atom
calculated formation energy	0.212	eV/atom
calculated volume	212.0	Å³/cell
size of the total moment	0.04	μB per atom

Unit cell a=7.280 b=7.280 c=7.280 alpha=131.49 beta=131.49 gamma=71.04
Atoms (fractional coordinates):
Ba (0.000, 0.000, 0.000)
Ba (0.250, 0.750, 0.500)
Ba (0.750, 0.250, 0.500)
Sm (0.500, 0.500, 0.000)

=====

No. 3
The following is a DFT calculation (PBE-GGA) of crystalline HoTaO4 at its relaxed geometry.

Summary:
calculated formation energy	-3.740	eV/atom
calculated volume	149.7	Å³/cell

Unit cell a=5.138 b=5.505 c=5.326 alpha=90.00 beta=96.48 gamma=90.00
Atoms (fractional coordinates):
Ho (0.000, 0.232, 0.250)
Ho (0.000, 0.768, 0.750)
Ta (0.500, 0.306, 0.750)
Ta (0.500, 0.694, 0.250)
O (0.249, 0.085, 0.599)
O (0.249, 0.915, 0.099)
O (0.268, 0.435, 0.996)
O (0.268, 0.565, 0.496)
O (0.732, 0.435, 0.504)
O (0.732, 0.565, 0.004)
O (0.751, 0.085, 0.901)
O (0.751, 0.915, 0.401)

=====

No. 4
The following is a DFT calculation (PBE-GGA) of crystalline ThCo2As2 at its relaxed geometry.

Summary:
calculated formation energy	-0.802	eV/atom
calculated volume	163.9	Å³/cell

Unit cell a=4.175 b=4.175 c=9.405 alpha=90.00 beta=90.00 gamma=90.00
Atoms (fractional coordinates):
Th (0.250, 0.250, 0.247)
Th (0.750, 0.750, 0.753)
Co (0.250, 0.250, 0.615)
Co (0.250, 0.750, 0.000)
Co (0.750, 0.250, 0.000)
Co (0.750, 0.750, 0.385)
As (0.250, 0.250, 0.867)
As (0.250, 0.750, 0.500)
As (0.750, 0.250, 0.500)
As (0.750, 0.750, 0.133)

=====

No. 5
The following is a DFT calculation (PBE-GGA) of crystalline Mg14FeW at its relaxed geometry.

Summary:
ΔE to the lowest computed polymorph	57	meV per atom
calculated formation energy	0.255	eV/atom
calculated volume	324.4	Å³/cell
size of the total moment	0.00	μB per atom

Unit cell a=6.194 b=6.194 c=9.762 alpha=90.00 beta=90.00 gamma=120.00
Atoms (fractional coordinates):
Mg (0.000, 0.000, 0.247)
Mg (0.000, 0.000, 0.753)
Mg (0.022, 0.511, 0.253)
Mg (0.022, 0.511, 0.747)
Mg (0.334, 0.167, 0.500)
Mg (0.337, 0.169, 0.000)
Mg (0.489, 0.511, 0.253)
Mg (0.489, 0.511, 0.747)
Mg (0.489, 0.978, 0.253)
Mg (0.489, 0.978, 0.747)
Mg (0.831, 0.169, 0.000)
Mg (0.831, 0.663, 0.000)
Mg (0.833, 0.167, 0.500)
Mg (0.833, 0.666, 0.500)
Fe (0.333, 0.667, 0.500)
W (0.333, 0.667, 0.000)

=====

No. 6
The following is a DFT calculation (PBE-GGA) of crystalline ErAl4Fe8 at its relaxed geometry.

Summary:
calculated formation energy	-0.232	eV/atom
calculated volume	178.2	Å³/cell
size of the total moment	1.18	μB per atom

Unit cell a=6.491 b=6.491 c=6.491 alpha=98.35 beta=98.35 gamma=135.19
Atoms (fractional coordinates):
Er (0.000, 0.000, 0.000)
Al (0.000, 0.345, 0.345)
Al (0.000, 0.655, 0.655)
Al (0.345, 0.000, 0.345)
Al (0.655, 0.000, 0.655)
Fe (0.000, 0.000, 0.500)
Fe (0.000, 0.500, 0.000)
Fe (0.270, 0.500, 0.770)
Fe (0.500, 0.000, 0.000)
Fe (0.500, 0.270, 0.770)
Fe (0.500, 0.500, 0.500)
Fe (0.500, 0.730, 0.230)
Fe (0.730, 0.500, 0.230)

=====

No. 7
The following is a DFT calculation (PBE-GGA) of crystalline TiP4O12 at its relaxed geometry.

Summary:
ΔE to the lowest computed polymorph	37	meV per atom
calculated formation energy	-2.708	eV/atom
calculated volume	454.2	Å³/cell
size of the total moment	0.00	μB per atom

Unit cell a=7.451 b=7.451 c=9.892 alpha=111.44 beta=111.44 gamma=66.93
Atoms (fractional coordinates):
Ti (0.000, 0.500, 0.000)
Ti (0.500, 0.000, 0.500)
P (0.158, 0.192, 0.686)
P (0.192, 0.158, 0.186)
P (0.241, 0.748, 0.967)
P (0.252, 0.759, 0.533)
P (0.748, 0.241, 0.467)
P (0.759, 0.252, 0.033)
P (0.808, 0.842, 0.814)
P (0.842, 0.808, 0.314)
O (0.032, 0.841, 0.844)
O (0.044, 0.708, 0.425)
O (0.145, 0.307, 0.845)
O (0.159, 0.968, 0.656)
O (0.166, 0.675, 0.057)
O (0.189, 0.338, 0.146)
O (0.292, 0.956, 0.075)
O (0.307, 0.145, 0.345)
O (0.325, 0.834, 0.443)
O (0.338, 0.189, 0.646)
O (0.381, 0.596, 0.605)
O (0.404, 0.619, 0.895)
O (0.596, 0.381, 0.105)
O (0.619, 0.404, 0.395)
O (0.662, 0.811, 0.354)
O (0.675, 0.166, 0.557)
O (0.693, 0.855, 0.655)
O (0.708, 0.044, 0.925)
O (0.811, 0.662, 0.854)
O (0.834, 0.325, 0.943)
O (0.841, 0.032, 0.344)
O (0.855, 0.693, 0.155)
O (0.956, 0.292, 0.575)
O (0.968, 0.159, 0.156)

=====

No. 8
The following is a DFT calculation (PBE-GGA) of crystalline Zn2P2O7 at its relaxed geometry.

Summary:
ΔE to the lowest computed polymorph	34	meV per atom
calculated formation energy	-2.400	eV/atom
calculated volume	123.0	Å³/cell
size of the total moment	0.00	μB per atom

Unit cell a=5.353 b=5.353 c=4.558 alpha=99.10 beta=99.10 gamma=103.17
Atoms (fractional coordinates):
Zn (0.191, 0.809, 0.000)
Zn (0.809, 0.191, 0.000)
P (0.285, 0.285, 0.593)
P (0.715, 0.715, 0.407)
O (0.120, 0.120, 0.287)
O (0.126, 0.430, 0.777)
O (0.430, 0.126, 0.777)
O (0.500, 0.500, 0.500)
O (0.570, 0.874, 0.223)
O (0.874, 0.570, 0.223)
O (0.880, 0.880, 0.713)

=====

No. 9
The following is a DFT calculation (PBE-GGA) of crystalline EuZnPd at its relaxed geometry.

Summary:
calculated formation energy	-0.646	eV/atom
calculated volume	258.8	Å³/cell

Unit cell a=7.239 b=4.573 c=7.816 alpha=90.00 beta=90.00 gamma=90.00
Atoms (fractional coordinates):
Eu (0.013, 0.250, 0.194)
Eu (0.487, 0.750, 0.694)
Eu (0.513, 0.250, 0.306)
Eu (0.987, 0.750, 0.806)
Zn (0.166, 0.250, 0.576)
Zn (0.334, 0.750, 0.076)
Zn (0.666, 0.250, 0.924)
Zn (0.834, 0.750, 0.424)
Pd (0.207, 0.750, 0.399)
Pd (0.293, 0.250, 0.899)
Pd (0.707, 0.750, 0.101)
Pd (0.793, 0.250, 0.601)

=====

No. 10
The following is a DFT calculation (PBE-GGA) of crystalline Li3CuF6 at its relaxed geometry.

Summary:
ΔE to the lowest computed polymorph	1	meV per atom
calculated formation energy	-2.607	eV/atom
calculated volume	210.7	Å³/cell

Unit cell a=5.952 b=5.952 c=5.952 alpha=91.24 beta=91.24 gamma=91.24
Atoms (fractional coordinates):
Li (0.058, 0.749, 0.568)
Li (0.251, 0.432, 0.942)
Li (0.432, 0.942, 0.251)
Li (0.568, 0.058, 0.749)
Li (0.749, 0.568, 0.058)
Li (0.942, 0.251, 0.432)
Cu (0.000, 0.000, 0.000)
Cu (0.500, 0.500, 0.500)
F (0.047, 0.695, 0.904)
F (0.096, 0.953, 0.305)
F (0.195, 0.425, 0.573)
F (0.305, 0.096, 0.953)
F (0.425, 0.573, 0.195)
F (0.427, 0.805, 0.575)
F (0.573, 0.195, 0.425)
F (0.575, 0.427, 0.805)
F (0.695, 0.904, 0.047)
F (0.805, 0.575, 0.427)
F (0.904, 0.047, 0.695)
F (0.953, 0.305, 0.096)

=====

No. 11
The following is a DFT calculation (PBE-GGA) of crystalline NiS2 at its relaxed geometry.

Summary:
calculated formation energy	-0.495	eV/atom
calculated volume	181.9	Å³/cell
size of the total moment	0.00	μB per atom

Unit cell a=4.489 b=6.557 c=6.180 alpha=90.00 beta=90.00 gamma=90.00
Atoms (fractional coordinates):
Ni (0.000, 0.140, 0.250)
Ni (0.000, 0.860, 0.750)
Ni (0.500, 0.360, 0.750)
Ni (0.500, 0.640, 0.250)
S (0.191, 0.412, 0.045)
S (0.191, 0.588, 0.545)
S (0.309, 0.088, 0.545)
S (0.309, 0.912, 0.045)
S (0.691, 0.088, 0.955)
S (0.691, 0.912, 0.455)
S (0.809, 0.412, 0.455)
S (0.809, 0.588, 0.955)

=====

No. 12
The following is a DFT calculation (PBE-GGA) of crystalline ReO2 at its relaxed geometry.

Summary:
calculated formation energy	-1.775	eV/atom
calculated volume	66.5	Å³/cell
size of the total moment	0.00	μB per atom

Unit cell a=4.925 b=4.925 c=2.743 alpha=90.00 beta=90.00 gamma=90.00
Atoms (fractional coordinates):
Re (0.000, 0.000, 0.000)
Re (0.500, 0.500, 0.500)
O (0.218, 0.218, 0.500)
O (0.282, 0.718, 0.000)
O (0.718, 0.282, 0.000)
O (0.782, 0.782, 0.500)

=====

Number 1: uncorrected energy -544.05 eV per cell. Number 2: uncorrected energy -9.63 eV per cell. Number 3: uncorrected energy -111.85 eV per cell. Number 4: uncorrected energy -69.91 eV per cell. Number 5: uncorrected energy -39.75 eV per cell. Number 6: uncorrected energy -90.33 eV per cell. Number 7: uncorrected energy -253.42 eV per cell. Number 8: uncorrected energy -69.57 eV per cell. Number 9: uncorrected energy -74.54 eV per cell. Number 10: uncorrected energy -89.23 eV per cell. Number 11: uncorrected energy -58.13 eV per cell. Number 12: uncorrected energy -52.58 eV per cell.